[1]
Here is crystalline MgAg20Bi4O16 at its relaxed geometry from Materials Project. Energies are from PBE.

```
data_MgAg20Bi4O16
_space_group_name_H-M_alt 'P 1'
_space_group_IT_number 1
_space_group_name_Hall 'P 1'
_cell_length_a 6.0496
_cell_length_b 9.0578
_cell_length_c 13.1070
_cell_angle_alpha 90.73
_cell_angle_beta 91.40
_cell_angle_gamma 93.20
loop_
_atom_site_label
_atom_site_fract_x
_atom_site_fract_y
_atom_site_fract_z
_atom_site_occupancy
Mg1 0.0000 0.0000 0.0000 1
Ag1 0.0368 0.5283 0.4278 1
Ag2 0.0996 0.9964 0.6970 1
Ag3 0.1007 0.5148 0.9176 1
Ag4 0.2473 0.2845 0.3130 1
Ag5 0.2693 0.9105 0.3956 1
Ag6 0.2902 0.2710 0.5565 1
Ag7 0.3008 0.2810 0.0553 1
Ag8 0.3272 0.2595 0.8060 1
Ag9 0.3382 0.6277 0.7190 1
Ag10 0.4734 0.0477 0.1970 1
Ag11 0.5307 0.5307 0.4283 1
Ag12 0.5710 0.5234 0.9134 1
Ag13 0.5996 0.9930 0.7007 1
Ag14 0.7341 0.2323 0.9461 1
Ag15 0.8064 0.3951 0.2291 1
Ag16 0.8104 0.7655 0.5567 1
Ag17 0.8137 0.7567 0.3063 1
Ag18 0.8533 0.7142 0.0322 1
Ag19 0.8564 0.7720 0.8272 1
Ag20 0.9947 0.0333 0.2164 1
Bi1 0.3014 0.6527 0.1849 1
Bi2 0.4447 0.8921 0.9452 1
Bi3 0.7667 0.1291 0.4526 1
Bi4 0.8201 0.4019 0.6696 1
O1 0.1286 0.1325 0.4359 1
O2 0.2057 0.9177 0.1083 1
O3 0.2362 0.1173 0.9323 1
O4 0.2896 0.6667 0.3609 1
O5 0.3429 0.8636 0.7681 1
O6 0.3477 0.6439 0.0057 1
O7 0.3658 0.4191 0.1877 1
O8 0.4544 0.4020 0.6799 1
O9 0.6979 0.0434 0.0361 1
O10 0.7022 0.8869 0.4300 1
O11 0.7428 0.1678 0.2816 1
O12 0.7756 0.3969 0.4927 1
O13 0.8255 0.3976 0.8437 1
O14 0.8492 0.1257 0.6321 1
O15 0.9139 0.6393 0.6801 1
O16 0.9397 0.6176 0.1844 1
```

Summary:
Energy of formation (eV per atom): -0.6708
Energy above the most stable polymorph in this dataset (kJ/mol of atoms): 2.5

***

[2]
Here is crystalline Sc4Co4Ge7 at its relaxed geometry from Materials Project. Energies are from PBE.

```
data_Sc4Co4Ge7
_space_group_name_H-M_alt 'I 4/m m m'
_space_group_IT_number 139
_space_group_name_Hall '-I 4 2'
_cell_length_a 13.2597
_cell_length_b 13.2597
_cell_length_c 5.2294
_cell_angle_alpha 90.00
_cell_angle_beta 90.00
_cell_angle_gamma 90.00
loop_
_atom_site_label
_atom_site_fract_x
_atom_site_fract_y
_atom_site_fract_z
_atom_site_occupancy
Sc1 0.0000 0.1961 0.0000 1
Sc2 0.1397 0.1397 0.5000 1
Co1 0.1481 0.3519 0.2500 1
Ge1 0.0000 0.0000 0.2476 1
Ge2 0.0000 0.2913 0.5000 1
Ge3 0.0000 0.4062 0.0000 1
Ge4 0.2070 0.2070 0.0000 1
```

Summary:
Energy of formation (eV per atom): -0.6306

***

Number 1: total magnetic moment 0.00 μB/atom, VASP energy -0.15192 hartree per atom. Number 2: total magnetic moment 0.00 μB/atom, VASP energy -0.23417 hartree per atom.